Record 1
Material: LiCoPO4
Method: DFT, GGA+U
State: relaxed

Summary:
- VASP energy: -6.591 eV per atom
- Crystal system: triclinic
- Calculated formation energy: -2.33 eV per atom
- Distance to the lowest polymorph of the same formula: 79.7 meV/atom
- Density: 3.09 g cm⁻³
- Space-group type: P1

The structure in POSCAR format:
```
LiCoPO4
1.0
-0.392 4.184 -3.476
-8.745 5.160 3.136
3.400 3.468 3.778
Li Co P O
4 4 4 16
Cartesian
-0.900 4.512 2.010
-1.736 2.103 -0.046
-4.000 10.708 3.485
-4.833 8.298 1.430
-4.807 5.197 1.244
-0.931 7.613 2.194
-5.666 7.537 4.879
-0.071 5.272 -1.436
-3.455 6.565 3.673
-7.093 6.096 2.370
1.355 6.718 1.068
-2.282 6.247 -0.234
-4.501 10.272 1.548
0.484 6.016 2.176
-6.220 6.797 1.262
-1.239 2.538 1.888
-6.313 4.805 2.722
-1.409 5.048 0.216
-4.324 7.766 3.223
0.572 8.006 0.715
-3.417 5.397 2.665
-5.119 9.313 5.613
-0.617 3.505 -2.179
-2.322 7.414 0.774
-1.975 7.051 3.895
-7.217 6.993 3.656
1.483 5.822 -0.219
-3.761 5.758 -0.455
```

=====

Record 2
Material: FeNiP2O9
Method: DFT, GGA+U
State: relaxed

Summary:
- VASP energy: -6.343 eV per atom
- Crystal system: orthorhombic
- Calculated formation energy: -1.83 eV per atom
- Density: 3.09 g cm⁻³
- Space-group type: Pnma

The structure in POSCAR format:
```
FeNiP2O9
1.0
-4.933 0.199 -3.941
4.542 -2.361 -5.805
-3.015 -13.412 3.095
Fe Ni P O
4 4 8 36
Cartesian
-1.008 -6.956 -6.686
-2.398 -8.617 0.035
-0.022 -2.363 -2.623
-3.384 -13.211 -4.028
-1.703 -7.787 -3.326
-2.467 0.100 -1.970
0.000 0.000 0.000
0.764 -7.886 -1.355
1.303 -7.836 -4.560
-4.709 -7.737 -2.091
-2.298 -1.501 -4.794
-1.108 -14.073 -1.857
-0.222 -4.470 -7.544
-3.184 -11.103 0.892
-0.402 -5.060 -2.285
-3.004 -10.514 -4.366
-2.411 -11.918 1.948
1.017 -3.736 -6.992
-3.882 -9.644 -5.287
-1.535 -5.848 -2.971
-0.995 -3.655 -8.599
-4.423 -11.837 0.341
0.476 -5.930 -1.364
-1.871 -9.725 -3.681
-0.379 -15.070 -2.820
-3.027 -0.503 -3.831
-3.731 -7.627 -3.310
0.325 -7.947 -3.341
-2.157 -7.446 -5.272
-1.249 -8.127 -1.379
-0.734 -0.905 -1.659
-2.672 -14.668 -4.993
-1.166 -4.892 -6.383
-2.240 -10.682 -0.268
-0.978 -3.848 -1.502
-2.428 -11.726 -5.149
-1.940 -13.121 -2.728
-3.377 -2.375 -5.450
-4.024 -8.612 -1.032
2.529 -7.038 -4.092
-1.466 -2.452 -3.923
-0.029 -13.198 -1.202
0.618 -6.961 -5.619
-5.935 -8.535 -2.559
-3.877 -11.264 -3.312
0.471 -4.310 -3.339
0.970 -12.059 -4.356
-4.376 -3.515 -2.295
-4.472 -14.163 -2.714
1.066 -1.410 -3.938
1.666 -9.212 -5.084
-5.072 -6.362 -1.567
```

=====

Record 3
Material: Li9Co7O16
Method: DFT, GGA+U
State: relaxed

Summary:
- VASP energy: -5.570 eV per atom
- Crystal system: monoclinic
- Calculated formation energy: -1.71 eV per atom
- Distance to the lowest polymorph of the same formula: 49.2 meV/atom
- Density: 4.32 g cm⁻³
- Space-group type: C2/m

The structure in POSCAR format:
```
Li9Co7O16
1.0
2.901 5.094 0.000
-2.901 5.094 0.000
0.000 3.416 9.508
Li Co O
9 7 16
Cartesian
-1.450 2.547 0.000
1.450 2.547 0.000
0.000 5.090 7.180
0.000 10.193 7.167
1.450 4.255 4.754
-1.450 4.255 4.754
0.000 8.514 2.328
0.000 3.412 2.340
0.000 5.094 0.000
0.000 0.000 0.000
-1.431 5.947 2.316
-1.431 7.658 7.191
1.431 7.658 7.191
0.000 6.802 4.754
0.000 1.708 4.754
1.431 5.947 2.316
-1.566 4.362 1.149
1.566 4.362 1.149
0.000 6.850 8.169
0.000 12.029 8.389
1.532 6.050 5.852
-1.532 6.050 5.852
0.000 10.396 3.554
0.000 5.258 3.607
1.566 9.242 8.359
-1.566 9.242 8.359
0.000 3.208 5.954
0.000 8.347 5.901
-1.532 7.555 3.656
1.532 7.555 3.656
0.000 6.754 1.339
0.000 1.575 1.119
```

=====

Record 4
Material: LiMn2P3O11
Method: DFT, GGA+U
State: relaxed

Summary:
- VASP energy: -7.188 eV per atom
- Crystal system: monoclinic
- Calculated formation energy: -2.48 eV per atom
- Density: 3.17 g cm⁻³
- Space-group type: C2

The structure in POSCAR format:
```
LiMn2P3O11
1.0
4.292 5.920 0.000
-4.292 5.920 0.000
0.000 3.279 7.962
Li Mn P O
2 4 6 22
Cartesian
-2.012 5.366 5.880
-2.012 9.752 2.082
-2.213 5.453 2.335
2.216 8.034 1.638
-2.213 9.665 5.627
2.216 7.084 6.324
-0.530 7.758 7.700
0.540 6.111 3.725
0.540 9.007 4.237
-0.530 7.361 0.262
-3.978 7.559 3.981
3.972 5.920 0.000
0.481 3.568 6.695
-1.444 7.319 1.473
0.674 6.824 7.549
1.449 6.133 2.514
-0.687 9.925 4.353
-1.444 7.800 6.489
-1.306 4.176 1.049
0.481 11.550 1.267
-3.046 8.818 4.115
-3.046 6.300 3.847
1.314 9.311 2.927
1.449 8.986 5.448
-0.491 13.197 5.244
-0.106 7.559 3.981
-1.306 10.943 6.913
0.674 8.294 0.413
0.127 5.920 0.000
3.043 7.940 7.833
-0.687 5.194 3.609
3.043 7.179 0.129
-0.491 1.922 2.718
1.314 5.808 5.035
```